Entry 1:
! Mn21O40 (PBE with a Hubbard U, relaxed); values from VASP
&SYSTEM
  ibrav = 0, nat = 61, ntyp = 2
/
ATOMIC_SPECIES
Mn 54.94 Mn.upf
O 16.00 O.upf
ATOMIC_POSITIONS crystal
Mn 0.0595 0.0403 0.8455
Mn 0.1560 0.1438 0.5498
Mn 0.1559 0.6439 0.5498
Mn 0.1606 0.6501 0.0507
Mn 0.2575 0.2441 0.2517
Mn 0.3499 0.8394 0.9493
Mn 0.3534 0.3534 0.9472
Mn 0.3561 0.8441 0.4502
Mn 0.4554 0.4436 0.6494
Mn 0.5559 0.0354 0.8471
Mn 0.5564 0.5446 0.3506
Mn 0.5569 0.0441 0.3506
Mn 0.6466 0.6466 0.0528
Mn 0.7547 0.2439 0.7489
Mn 0.7561 0.2453 0.2511
Mn 0.7559 0.7425 0.7483
Mn 0.8562 0.8440 0.4502
Mn 0.8885 0.1115 0.0000
Mn 0.9559 0.4431 0.6494
Mn 0.9597 0.9405 0.1545
Mn 0.9646 0.4441 0.1529
O 0.0016 0.0243 0.2472
O 0.0077 0.4592 0.2461
O 0.1066 0.6295 0.4560
O 0.1115 0.0645 0.4559
O 0.1153 0.6239 0.9584
O 0.1318 0.0913 0.9408
O 0.1754 0.6945 0.1463
O 0.1806 0.1960 0.1585
O 0.2004 0.2230 0.6438
O 0.2053 0.6581 0.6437
O 0.3055 0.8246 0.8537
O 0.3169 0.2558 0.8519
O 0.3369 0.2889 0.3453
O 0.3419 0.7947 0.3563
O 0.3705 0.8934 0.5440
O 0.3763 0.3994 0.5556
O 0.3761 0.8847 0.0416
O 0.3917 0.4302 0.0445
O 0.5077 0.0296 0.2568
O 0.5116 0.4648 0.2566
O 0.5352 0.4884 0.7434
O 0.5408 0.9923 0.7539
O 0.5698 0.6083 0.9555
O 0.5860 0.0704 0.9415
O 0.6006 0.6237 0.4444
O 0.6060 0.0586 0.4444
O 0.7058 0.2290 0.6553
O 0.7111 0.6631 0.6547
O 0.7442 0.6831 0.1481
O 0.7458 0.1936 0.1574
O 0.7710 0.2942 0.3447
O 0.7770 0.7996 0.3562
O 0.8040 0.8194 0.8415
O 0.8064 0.2542 0.8426
O 0.9087 0.8682 0.0592
O 0.9296 0.4140 0.0585
O 0.9355 0.8885 0.5441
O 0.9414 0.3940 0.5556
O 0.9704 0.4923 0.7432
O 0.9757 0.9984 0.7528
CELL_PARAMETERS angstrom
4.1381 -4.2030 0.0000
4.1381 4.2030 0.0000
-4.0795 0.0000 20.7039
! ΔE_f, eV per formula unit: -109.57
! E above lowest polymorph, meV/atom: 0.0

=====

Entry 2:
! MnO (PBE with a Hubbard U, relaxed); values from VASP
&SYSTEM
  ibrav = 0, nat = 8, ntyp = 2
/
ATOMIC_SPECIES
Mn 54.94 Mn.upf
O 16.00 O.upf
ATOMIC_POSITIONS crystal
Mn 0.5000 0.8250 0.4977
Mn 0.5000 0.1750 0.9977
Mn 0.0000 0.3250 0.4976
Mn 0.0000 0.6750 0.9976
O 0.5000 0.8377 0.1159
O 0.0000 0.6623 0.6159
O 0.5000 0.1623 0.6159
O 0.0000 0.3377 0.1159
CELL_PARAMETERS angstrom
3.4664 0.0317 0.0977
-0.1491 -1.2948 5.7197
0.0828 -5.3379 -1.2063
! ΔE_f, eV per formula unit: -3.95

=====

Entry 3:
! Mn9O13 (PBE with a Hubbard U, relaxed); values from VASP
&SYSTEM
  ibrav = 0, nat = 22, ntyp = 2
/
ATOMIC_SPECIES
Mn 54.94 Mn.upf
O 16.00 O.upf
ATOMIC_POSITIONS crystal
Mn 0.0000 0.0000 0.0000
Mn 0.1466 0.1466 0.5425
Mn 0.2501 0.2501 0.9175
Mn 0.4367 0.4367 0.6244
Mn 0.4914 0.4914 0.8243
Mn 0.5086 0.5086 0.1757
Mn 0.5633 0.5633 0.3756
Mn 0.7499 0.7499 0.0825
Mn 0.8534 0.8534 0.4575
O 0.0564 0.0564 0.6342
O 0.1154 0.1154 0.1109
O 0.1153 0.1153 0.8293
O 0.2050 0.2050 0.4326
O 0.3629 0.3629 0.0276
O 0.3897 0.3897 0.7219
O 0.5000 0.5000 0.5000
O 0.6103 0.6103 0.2781
O 0.6371 0.6371 0.9724
O 0.7950 0.7950 0.5674
O 0.8847 0.8847 0.1707
O 0.8846 0.8846 0.8891
O 0.9436 0.9436 0.3658
CELL_PARAMETERS angstrom
5.1296 -1.5383 0.0000
5.1296 1.5383 0.0000
-2.2822 0.0000 16.9483
! ΔE_f, eV per formula unit: -39.54